{
  "formula": "SrAl3P2O14",
  "functional": "GGA-PBE",
  "state": "optimized geometry",
  "e_form_ev_per_atom": -2.37,
  "space_group": "R-3m",
  "magmom_total_mub_per_fu": 7.0,
  "lattice_angstrom": [[6.053, -3.502, 0.000], [6.053, 3.502, 0.000], [4.027, 0.000, 5.717]],
  "species": ["P", "P", "Al", "Al", "Al", "O", "O", "O", "O", "O", "O", "O", "O", "O", "O", "O", "O", "O", "O", "Sr"],
  "frac_coords": [[0.690, 0.690, 0.690], [0.310, 0.310, 0.310], [0.000, 0.500, 0.000], [0.000, 0.000, 0.500], [0.500, 0.000, 0.000], [0.158, 0.158, 0.518], [0.911, 0.252, 0.252], [0.842, 0.842, 0.482], [0.158, 0.518, 0.158], [0.252, 0.911, 0.252], [0.400, 0.400, 0.400], [0.518, 0.158, 0.158], [0.089, 0.748, 0.748], [0.748, 0.748, 0.089], [0.482, 0.842, 0.842], [0.600, 0.600, 0.600], [0.842, 0.482, 0.842], [0.748, 0.089, 0.748], [0.252, 0.252, 0.911], [0.000, 0.000, 0.000]]
}



{
  "formula": "Al2Tl3P3O12",
  "functional": "GGA-PBE",
  "state": "optimized geometry",
  "e_form_ev_per_atom": -2.63,
  "space_group": "Pna2_1",
  "e_above_lowest_polymorph_kcal_per_mol_atoms": 0.00,
  "magmom_total_mub_per_fu": 0.0,
  "lattice_angstrom": [[-1.533, -1.218, -5.904], [-4.606, -8.982, 3.048], [-15.615, 8.769, 2.245]],
  "species": ["O", "O", "O", "O", "O", "O", "O", "O", "O", "O", "O", "O", "O", "O", "O", "O", "O", "O", "O", "O", "O", "O", "O", "O", "O", "O", "O", "O", "O", "O", "O", "O", "O", "O", "O", "O", "O", "O", "O", "O", "O", "O", "O", "O", "O", "O", "O", "O", "P", "P", "P", "P", "P", "P", "P", "P", "P", "P", "P", "P", "Al", "Al", "Al", "Al", "Al", "Al", "Al", "Al", "Tl", "Tl", "Tl", "Tl", "Tl", "Tl", "Tl", "Tl", "Tl", "Tl", "Tl", "Tl"],
  "frac_coords": [[0.761, 0.913, 0.689], [0.225, 0.430, 0.834], [0.714, 0.070, 0.409], [0.559, 0.089, 0.279], [0.764, 0.273, 0.900], [0.446, 0.910, 0.123], [0.933, 0.592, 0.465], [0.567, 0.092, 0.965], [0.742, 0.416, 0.054], [0.532, 0.588, 0.122], [0.433, 0.908, 0.465], [0.067, 0.408, 0.965], [0.214, 0.430, 0.409], [0.059, 0.411, 0.279], [0.554, 0.090, 0.623], [0.244, 0.728, 0.842], [0.756, 0.272, 0.342], [0.441, 0.911, 0.779], [0.457, 0.424, 0.951], [0.256, 0.228, 0.342], [0.468, 0.412, 0.622], [0.449, 0.426, 0.293], [0.758, 0.916, 0.554], [0.736, 0.773, 0.400], [0.957, 0.076, 0.951], [0.949, 0.074, 0.293], [0.275, 0.930, 0.334], [0.551, 0.574, 0.793], [0.032, 0.912, 0.122], [0.739, 0.413, 0.189], [0.054, 0.410, 0.623], [0.968, 0.088, 0.622], [0.946, 0.590, 0.123], [0.236, 0.727, 0.400], [0.786, 0.570, 0.909], [0.261, 0.587, 0.689], [0.286, 0.930, 0.909], [0.239, 0.087, 0.189], [0.725, 0.070, 0.834], [0.744, 0.772, 0.842], [0.543, 0.576, 0.451], [0.242, 0.084, 0.054], [0.043, 0.924, 0.451], [0.258, 0.584, 0.554], [0.775, 0.570, 0.334], [0.264, 0.227, 0.900], [0.051, 0.926, 0.793], [0.941, 0.589, 0.779], [0.746, 0.127, 0.331], [0.260, 0.492, 0.622], [0.245, 0.872, 0.412], [0.755, 0.128, 0.912], [0.254, 0.873, 0.831], [0.740, 0.508, 0.122], [0.240, 0.992, 0.122], [0.246, 0.373, 0.331], [0.760, 0.008, 0.622], [0.754, 0.627, 0.831], [0.255, 0.372, 0.912], [0.745, 0.628, 0.412], [0.739, 0.917, 0.454], [0.761, 0.417, 0.954], [0.248, 0.583, 0.789], [0.252, 0.083, 0.289], [0.748, 0.917, 0.789], [0.261, 0.083, 0.954], [0.239, 0.583, 0.454], [0.752, 0.417, 0.289], [0.262, 0.158, 0.513], [0.241, 0.663, 0.229], [0.759, 0.337, 0.729], [0.734, 0.141, 0.120], [0.762, 0.342, 0.513], [0.259, 0.163, 0.729], [0.741, 0.837, 0.229], [0.766, 0.641, 0.620], [0.234, 0.359, 0.120], [0.266, 0.859, 0.620], [0.238, 0.658, 0.013], [0.738, 0.842, 0.013]]
}



no.,density (g cm⁻³),V (Å³ per atom)
1,3.11,12.12
2,5.34,14.80